Below is a relaxed BaEu2CoO5 crystal, with properties calculated at the GGA+U level. Values from VASP.

Summary:
ΔH_f (0 K)	-2.7075	eV per atom
size of the total moment	15.0	μB/cell
corrected total energy (MP2020 scheme)	-8.74	eV/atom
calculated density	7.26	g cm⁻³

Structure (Quantum ESPRESSO input):
```
&SYSTEM
  ibrav = 0, nat = 9, ntyp = 4
/
ATOMIC_SPECIES
Co 58.93 Co.upf
O 16.00 O.upf
Ba 137.33 Ba.upf
Eu 151.96 Eu.upf
ATOMIC_POSITIONS crystal
Co 0.5000 0.5000 0.0000
O 0.4004 0.6407 0.7596
O 0.5000 0.0000 0.5000
O 0.1189 0.3593 0.7596
Ba 0.0000 0.0000 0.0000
Eu 0.7065 0.2065 0.5000
Eu 0.2935 0.7935 0.5000
O 0.5996 0.3593 0.2404
O 0.8811 0.6407 0.2404
CELL_PARAMETERS angstrom
-1.8862 2.9883 5.8868
1.8862 -2.9883 5.8868
1.8862 2.9883 -5.8868
```